# 1
10
Lattice="-1.413 -3.611 5.608 -5.318 1.714 3.908 -5.524 -3.993 0.182" Properties=species:S:1:pos:R:3 comment="PBE Cs2TlInF6, optimized geometry" energy_corrected_mp2020_ev_per_atom=-4.631 m_tot_mub_per_cell=0.0 pbc="T T T"
F -5.862 -3.405 2.799
F -4.056 -3.237 5.183
F -6.392 -2.485 6.899
F -6.483 -4.991 5.263
F -5.772 -0.898 4.436
F -8.198 -2.652 4.516
In -6.127 -2.945 4.849
Tl 0.000 0.000 0.000
Cs -3.064 -1.472 2.425
Cs -9.191 -4.417 7.274

=====

# 2
10
Lattice="5.852 -1.645 -1.668 3.276 -4.036 3.565 1.158 -5.831 -2.095" Properties=species:S:1:pos:R:3 comment="PBE Cs2NaIrF6, optimized geometry" energy_corrected_mp2020_ev_per_atom=-4.884 m_tot_mub_per_cell=0.0 pbc="T T T"
F 4.761 -7.972 0.746
F 4.137 -4.830 1.875
F 5.525 -3.541 -0.944
F 7.290 -5.716 0.976
F 6.149 -6.683 -2.073
F 2.996 -5.797 -1.174
Na 5.143 -5.756 -0.099
Cs 2.571 -2.878 -0.049
Cs 7.714 -8.635 -0.148
Ir 0.000 0.000 0.000

=====

# 3
10
Lattice="-3.529 -3.089 4.902 -6.696 -0.861 -0.669 -2.535 -6.206 -1.041" Properties=species:S:1:pos:R:3 comment="PBE CsRb2IrF6, optimized geometry" energy_corrected_mp2020_ev_per_atom=-4.786 m_tot_mub_per_cell=0.0 pbc="T T T"
Cs -6.380 -5.078 1.596
F -4.739 -3.934 3.499
F -8.593 -4.429 3.114
F -6.562 -2.651 0.293
F -8.021 -6.223 -0.306
F -6.198 -7.505 2.899
F -4.167 -5.727 0.078
Rb -9.570 -7.617 2.394
Rb -3.190 -2.539 0.798
Ir 0.000 0.000 0.000

=====

| no. | DFT formation energy (eV/f.u.) |
| --- | --- |
| 1 | -27.91 |
| 2 | -25.40 |
| 3 | -24.68 |